## Mo3WSe6S2 (PBE-GGA)

Data for a geometry-optimized Mo3WSe6S2 structure.

```
data_Mo3WSe6S2
_chemical_formula_sum 'Mo3 W1 Se6 S2'
_cell_length_a 3.2913
_cell_length_b 3.2913
_cell_length_c 36.8569
_cell_angle_alpha 90.00
_cell_angle_beta 90.00
_cell_angle_gamma 120.00
_space_group_name_H-M_alt 'P 3 m 1'
_space_group_IT_number 156
loop_
_space_group_symop_operation_xyz
'x,y,z'
'-y,x-y,z'
'-x+y,-x,z'
'-y,-x,z'
'-x+y,y,z'
'x,x-y,z'
loop_
_atom_site_label
_atom_site_type_symbol
_atom_site_fract_x
_atom_site_fract_y
_atom_site_fract_z
Mo1 Mo 0.0000 0.0000 0.0000
Mo2 Mo 0.0000 0.0000 0.3758
Mo3 Mo 0.6667 0.3333 0.8121
W1 W 0.6667 0.3333 0.1878
Se1 Se 0.0000 0.0000 0.1419
Se2 Se 0.0000 0.0000 0.2338
Se3 Se 0.0000 0.0000 0.7664
Se4 Se 0.0000 0.0000 0.8578
Se5 Se 0.6667 0.3333 0.3301
Se6 Se 0.6667 0.3333 0.4215
S1 S 0.6667 0.3333 0.0416
S2 S 0.6667 0.3333 0.9584
```

Properties
Distance to the lowest polymorph of the same formula in eV/atom: 0.017
Spin magnetization in μB per formula unit: 0.00
ΔE_f in eV/atom: -0.765
Total energy in eV/atom: -6.9102


## GdInO3 (PBE-GGA)

Data for a geometry-optimized GdInO3 structure.

```
data_GdInO3
_chemical_formula_sum 'Gd6 In6 O18'
_cell_length_a 6.4195
_cell_length_b 6.4195
_cell_length_c 12.4546
_cell_angle_alpha 90.00
_cell_angle_beta 90.00
_cell_angle_gamma 120.00
_space_group_name_H-M_alt 'P 63 c m'
_space_group_IT_number 185
_space_group_name_Hall 'P 6c -2'
loop_
_atom_site_label
_atom_site_type_symbol
_atom_site_fract_x
_atom_site_fract_y
_atom_site_fract_z
Gd1 Gd 0.0000 0.0000 0.0000
Gd2 Gd 0.3333 0.6667 0.4646
In1 In 0.0000 0.3335 0.2297
O1 O 0.0000 0.0000 0.1999
O2 O 0.0000 0.3079 0.4001
O3 O 0.0000 0.3594 0.0606
O4 O 0.3333 0.6667 0.2551
```

Properties
ΔE_f in eV/atom: -2.950
Total energy in eV/atom: -8.8717


## Ti10Ga3Sb3 (PBE-GGA)

Data for a geometry-optimized Ti10Ga3Sb3 structure.

```
data_Ti10Ga3Sb3
_chemical_formula_sum 'Ti10 Ga3 Sb3'
_cell_length_a 7.8602
_cell_length_b 7.8602
_cell_length_c 5.3261
_cell_angle_alpha 90.00
_cell_angle_beta 90.00
_cell_angle_gamma 120.00
_space_group_name_H-M_alt 'P -6 2 m'
_space_group_IT_number 189
_space_group_name_Hall 'P -6 -2'
loop_
_atom_site_label
_atom_site_type_symbol
_atom_site_fract_x
_atom_site_fract_y
_atom_site_fract_z
Ti1 Ti 0.0000 0.2483 0.0000
Ti2 Ti 0.0000 0.7568 0.5000
Ti3 Ti 0.3333 0.6667 0.2405
Ga1 Ga 0.0000 0.6132 0.0000
Sb1 Sb 0.0000 0.3945 0.5000
```

Properties
ΔE_f in eV/atom: -0.511
Total energy in eV/atom: -6.7512